Record 1
2
Lattice="1.582 0.914 4.329 -1.582 0.914 4.329 0.000 -1.827 4.329" Properties=species:S:1:pos:R:3 comment="InPt | Materials Project | PBE | optimized geometry" total_energy_ev_per_cell=-9.31 delta_e_f_ev_per_atom=-0.25 pbc="T T T"
In 0.000 0.000 0.000
Pt 0.000 0.000 6.493

***

Record 2
108
Lattice="9.026 0.000 0.000 -4.500 7.826 0.000 -0.034 -0.110 23.772" Properties=species:S:1:pos:R:3 comment="Na2Ca2Hf2SiS5O24 | Materials Project | PBE | optimized geometry" total_energy_ev_per_cell=-748.62 delta_e_f_ev_per_atom=-2.63 pbc="T T T"
Na 0.000 0.000 0.000
Na -0.142 0.222 11.819
Na 0.102 5.456 7.619
Na 0.282 5.184 19.998
Na 4.567 2.618 3.866
Na 4.639 2.639 15.801
Ca 0.040 0.053 3.367
Ca -0.009 0.071 15.137
Ca 0.067 5.315 4.190
Ca 0.090 5.202 23.238
Ca 4.584 2.556 7.446
Ca 4.508 2.635 19.249
Hf -0.017 -0.092 20.190
Hf -0.035 0.063 8.240
Hf -0.015 5.142 16.159
Hf 0.049 5.211 11.281
Hf 4.532 2.778 0.160
Hf 4.705 2.565 12.171
Si -1.305 2.978 13.669
Si 3.179 4.931 21.562
Si 5.924 0.275 9.769
S -1.240 2.370 5.854
S -3.082 5.590 17.649
S -2.694 5.207 1.772
S 2.652 0.037 5.879
S 1.310 2.330 17.646
S 1.503 2.915 1.783
S -1.164 7.494 13.692
S 3.131 0.316 21.614
S 1.886 2.625 9.826
S 2.602 5.133 13.700
S 1.380 7.761 1.781
S 1.909 7.740 17.675
S 3.244 5.595 5.872
S 7.202 2.517 21.621
S 5.892 4.986 9.820
O -3.615 6.222 16.450
O -3.633 6.351 1.858
O -0.917 1.635 4.638
O -0.758 1.554 7.078
O -0.663 1.520 13.637
O -3.395 6.413 18.873
O -1.920 5.024 3.015
O -1.851 5.355 0.595
O -0.945 3.672 21.817
O -0.945 3.889 15.045
O -1.669 5.180 10.077
O -0.762 3.868 12.428
O -0.531 3.664 5.924
O -1.553 5.549 17.546
O 1.726 0.016 7.095
O 0.742 1.698 18.868
O -2.613 7.579 13.756
O 0.963 1.541 1.876
O 1.616 0.321 21.463
O 1.043 1.396 9.679
O 1.854 0.070 4.652
O 0.999 1.568 16.441
O -1.038 6.622 5.938
O 0.652 3.718 17.521
O 0.936 3.576 0.615
O -0.932 6.761 21.822
O -0.784 6.706 12.495
O 0.945 3.766 10.078
O -0.579 6.869 14.925
O 1.313 3.688 3.027
O 3.434 1.165 22.818
O 3.481 1.251 5.930
O 2.779 2.450 11.007
O 2.763 2.538 17.720
O 3.729 0.871 20.411
O 2.623 2.936 8.612
O 3.949 1.035 13.555
O 3.015 2.777 1.593
O 1.744 5.034 14.931
O 0.859 6.609 10.141
O 1.625 5.246 21.725
O 1.733 5.298 12.507
O 1.094 6.475 17.578
O 0.824 7.187 3.029
O 1.765 5.543 5.927
O 1.088 6.936 0.614
O 3.369 3.867 13.565
O 5.230 0.809 8.461
O 5.244 1.292 1.597
O 3.529 4.155 20.230
O 5.504 1.064 17.811
O 3.851 4.139 22.893
O 3.857 4.273 6.009
O 5.623 1.288 11.091
O 3.481 6.296 13.772
O 2.802 7.607 18.896
O 3.702 6.241 4.650
O 7.222 0.064 16.474
O 3.682 6.443 7.087
O 7.348 0.128 1.867
O 7.582 0.151 9.621
O 6.314 2.299 22.820
O 5.487 3.942 1.612
O 5.255 4.299 11.001
O 6.051 2.934 13.546
O 4.005 6.422 21.466
O 6.327 2.533 5.949
O 5.464 4.209 17.768
O 6.427 2.653 20.403
O 5.745 4.209 8.608
O 8.062 1.267 21.504
O 5.294 6.347 9.702

***

Record 3
13
Lattice="3.808 0.000 0.000 0.000 3.915 0.000 0.000 0.000 11.778" Properties=species:S:1:pos:R:3 comment="BaSrEuCu3O7 | Materials Project | PBE | optimized geometry" total_energy_ev_per_cell=-82.72 delta_e_f_ev_per_atom=-2.06 pbc="T T T"
Ba 0.000 0.000 0.000
Sr 0.000 0.000 4.231
Eu 0.000 0.000 7.952
Cu 1.904 1.957 2.147
Cu 1.904 1.957 6.134
Cu 1.904 1.957 9.769
O 0.000 1.957 6.435
O 0.000 1.957 9.466
O 1.904 0.000 2.237
O 1.904 0.000 6.397
O 1.904 0.000 9.485
O 1.904 1.957 0.272
O 1.904 1.957 4.017

***

Record 4
14
Lattice="-3.553 3.611 4.861 3.553 -3.611 4.861 3.553 3.611 -4.861" Properties=species:S:1:pos:R:3 comment="ZnCr2S4 | Materials Project | PBE | optimized geometry" total_energy_ev_per_cell=-82.64 delta_e_f_ev_per_atom=-0.89 pbc="T T T"
Zn 0.000 0.000 0.000
Zn 0.000 3.611 0.000
Cr 3.553 0.000 0.000
Cr -1.776 1.805 2.430
Cr 0.000 0.000 4.861
Cr 1.776 1.805 2.430
S 1.891 1.805 0.057
S 5.215 1.805 0.057
S 3.553 0.175 2.428
S 0.000 0.175 2.433
S 3.553 3.436 2.428
S 0.000 3.436 2.433
S -1.662 1.805 4.804
S 1.662 1.805 4.804